No. 1
## VCl4 (r2SCAN)

Data for a geometry-optimized VCl4 structure.

Values from the calculation:
Formation energy from the elements: -6.49 eV per formula unit
Symmetry: P-1

Cell and atoms, written as extended XYZ:
```
20
Lattice="6.509 0.000 0.000 0.053 9.776 0.000 0.073 2.084 9.619" Properties=species:S:1:pos:R:3 pbc="T T T"
V 0.512 2.718 1.306
V 2.822 3.754 6.120
V 3.812 8.106 3.500
V 6.123 9.142 8.314
Cl 0.463 1.320 2.923
Cl 0.574 7.319 7.739
Cl 0.573 7.977 0.326
Cl 0.817 4.214 5.541
Cl 2.524 3.214 0.778
Cl 2.783 6.334 2.886
Cl 2.861 8.989 5.197
Cl 2.854 2.419 7.789
Cl 3.781 9.442 1.830
Cl 3.774 2.872 4.423
Cl 3.851 5.526 6.733
Cl 4.111 8.646 8.841
Cl 5.818 7.647 4.078
Cl 6.062 3.883 9.294
Cl 6.061 4.541 1.881
Cl 6.171 10.541 6.697
```

No. 2
## TiPt3 (r2SCAN)

Data for a geometry-optimized TiPt3 structure.

Values from the calculation:
Formation energy from the elements: -3.66 eV per formula unit
Symmetry: P6_3/mmc

Cell and atoms, written as extended XYZ:
```
8
Lattice="5.574 0.000 0.000 -2.787 4.827 0.000 0.000 0.000 4.491" Properties=species:S:1:pos:R:3 pbc="T T T"
Ti 0.000 3.218 1.123
Ti 2.787 1.609 3.368
Pt 0.000 1.614 3.368
Pt -1.389 4.020 3.368
Pt 1.398 0.807 1.123
Pt 1.389 4.020 3.368
Pt 4.176 0.807 1.123
Pt 2.787 3.213 1.123
```

No. 3
## SmCoC2 (r2SCAN)

Data for a geometry-optimized SmCoC2 structure.

Values from the calculation:
Formation energy from the elements: -1.36 eV per formula unit
Symmetry: Amm2

Cell and atoms, written as extended XYZ:
```
4
Lattice="3.716 0.000 0.000 0.000 2.247 3.012 0.000 -2.247 3.012" Properties=species:S:1:pos:R:3 pbc="T T T"
Sm 0.000 0.000 0.000
Co 1.858 0.000 2.322
C 1.858 -0.688 4.176
C 1.858 0.688 4.176
```

No. 4
## Ba3P4O13 (r2SCAN)

Data for a geometry-optimized Ba3P4O13 structure.

Values from the calculation:
Formation energy from the elements: -57.82 eV per formula unit
Symmetry: P1

Cell and atoms, written as extended XYZ:
```
20
Lattice="5.717 0.000 0.000 2.413 6.869 0.000 1.957 0.292 7.813" Properties=species:S:1:pos:R:3 pbc="T T T"
Ba 0.000 0.000 0.000
Ba 2.938 1.333 3.507
Ba 5.557 4.137 1.735
P 2.783 2.716 0.282
P 7.023 5.688 5.939
P 5.958 2.798 5.459
P 8.251 5.485 3.294
O 2.369 3.990 3.216
O 1.500 2.100 0.799
O 3.860 6.030 2.812
O 2.827 4.220 0.351
O 5.825 6.478 5.539
O 4.774 2.627 6.505
O 4.005 2.051 0.909
O 5.315 2.881 4.116
O 7.590 5.992 7.291
O 6.688 4.135 5.912
O 7.092 6.233 2.635
O 8.196 5.853 4.892
O 6.977 1.725 5.645
```

No. 5
## PrH2 (r2SCAN)

Data for a geometry-optimized PrH2 structure.

Values from the calculation:
Formation energy from the elements: -2.15 eV per formula unit
Symmetry: Fm-3m

Cell and atoms, written as extended XYZ:
```
3
Lattice="0.000 2.777 2.777 2.777 0.000 2.777 2.777 2.777 0.000" Properties=species:S:1:pos:R:3 pbc="T T T"
Pr 0.000 0.000 0.000
H 1.388 1.388 1.388
H 4.165 4.165 4.165
```

No. 6
## ThNi5 (r2SCAN)

Data for a geometry-optimized ThNi5 structure.

Values from the calculation:
Formation energy from the elements: -2.17 eV per formula unit
Symmetry: P6/mmm

Cell and atoms, written as extended XYZ:
```
6
Lattice="4.900 0.000 0.000 -2.450 4.244 0.000 0.000 0.000 3.952" Properties=species:S:1:pos:R:3 pbc="T T T"
Th 0.000 0.000 0.000
Ni -1.225 2.122 1.976
Ni 0.000 2.829 0.000
Ni 2.450 0.000 1.976
Ni 1.225 2.122 1.976
Ni 2.450 1.415 0.000
```

What is the formation energy from the elements in the second record?
-3.66 eV per formula unit

Look up the formation energy from the elements of the fourth one.
-57.82 eV per formula unit